# V3P4H8N2O17 | the Materials Project database | PBE with a Hubbard U | optimized geometry
# - crystal system = orthorhombic
# - energy (eV/cell) = -903.90
# - total magnetic moment (μB per cell) = 4.1
data_V3P4H8N2O17
_chemical_formula_sum 'V12 P16 H32 N8 O68'
_space_group_name_H-M_alt 'P n a 21'
_space_group_IT_number 33
_cell_length_a 17.740
_cell_length_b 11.699
_cell_length_c 7.400
_cell_angle_alpha 90.00
_cell_angle_beta 90.00
_cell_angle_gamma 90.00
loop_
_space_group_symop_operation_xyz
'x,y,z'
'-x,-y,z+1/2'
'-x+1/2,y+1/2,z+1/2'
'x+1/2,-y+1/2,z'
loop_
_atom_site_label
_atom_site_type_symbol
_atom_site_fract_x
_atom_site_fract_y
_atom_site_fract_z
_atom_site_occupancy
V1 V 0.001 0.001 0.000 1
V2 V 0.101 0.662 0.775 1
V3 V 0.190 0.339 0.775 1
P1 P 0.028 0.289 0.573 1
P2 P 0.028 0.290 0.976 1
P3 P 0.171 0.889 0.573 1
P4 P 0.172 0.889 0.976 1
H1 H 0.114 0.499 0.161 1
H2 H 0.114 0.499 0.389 1
H3 H 0.139 0.148 0.162 1
H4 H 0.139 0.148 0.388 1
H5 H 0.141 0.618 0.275 1
H6 H 0.196 0.502 0.275 1
H7 H 0.201 0.066 0.275 1
H8 H 0.212 0.207 0.275 1
N1 N 0.141 0.530 0.275 1
N2 N 0.173 0.143 0.275 1
O1 O 0.008 0.707 0.275 1
O2 O 0.010 0.007 0.773 1
O3 O 0.022 0.631 0.590 1
O4 O 0.022 0.631 0.960 1
O5 O 0.029 0.167 0.046 1
O6 O 0.029 0.167 0.503 1
O7 O 0.109 0.338 0.583 1
O8 O 0.109 0.338 0.967 1
O9 O 0.110 0.965 0.500 1
O10 O 0.110 0.966 0.050 1
O11 O 0.148 0.762 0.590 1
O12 O 0.149 0.763 0.959 1
O13 O 0.155 0.547 0.775 1
O14 O 0.194 0.934 0.775 1
O15 O 0.221 0.208 0.775 1
O16 O 0.245 0.907 0.080 1
O17 O 0.245 0.907 0.470 1